1.
TiReSi | the Materials Project | PBE | optimized geometry; formation energy = -0.714 eV per atom
1.0
1.355 5.854 3.226
-4.674 -0.155 -4.964
-2.305 -0.674 2.191
Si Re Ti
3 3 3
Direct
0.667 0.333 0.000 Si
0.333 0.667 0.000 Si
0.000 0.000 0.500 Si
0.263 0.000 0.000 Re
0.000 0.263 0.000 Re
0.737 0.737 0.000 Re
0.596 0.000 0.500 Ti
0.000 0.596 0.500 Ti
0.404 0.404 0.500 Ti

=====

2.
U5Re5Si9 | the Materials Project | PBE | optimized geometry; total moment = 7.232 μB per formula unit; formation energy = -0.360 eV per atom
1.0
-5.162 9.829 -11.912
-9.213 -12.552 4.765
-2.518 3.294 3.809
U Re Si
20 20 36
Direct
0.651 0.966 0.250 U
0.312 0.839 0.250 U
0.034 0.685 0.250 U
0.527 0.688 0.250 U
0.688 0.161 0.750 U
0.125 0.007 0.750 U
0.315 0.349 0.250 U
0.473 0.312 0.750 U
0.007 0.882 0.250 U
0.685 0.651 0.750 U
0.161 0.473 0.250 U
0.875 0.993 0.250 U
0.118 0.125 0.250 U
0.839 0.527 0.750 U
0.349 0.034 0.750 U
0.333 0.667 0.750 U
0.667 0.333 0.250 U
0.993 0.118 0.750 U
0.966 0.315 0.750 U
0.882 0.875 0.750 U
0.218 0.424 0.750 Re
0.333 0.667 0.250 Re
0.500 0.500 0.500 Re
0.000 0.500 0.500 Re
0.500 0.000 0.000 Re
0.790 0.762 0.250 Re
0.000 0.500 0.000 Re
0.029 0.790 0.750 Re
0.795 0.218 0.250 Re
0.971 0.210 0.250 Re
0.500 0.000 0.500 Re
0.500 0.500 0.000 Re
0.238 0.029 0.250 Re
0.667 0.333 0.750 Re
0.210 0.238 0.750 Re
0.424 0.205 0.250 Re
0.762 0.971 0.750 Re
0.782 0.576 0.250 Re
0.576 0.795 0.750 Re
0.205 0.782 0.750 Re
0.877 0.709 0.972 Si
0.822 0.351 0.531 Si
0.958 0.357 0.250 Si
0.472 0.822 0.031 Si
0.490 0.623 0.750 Si
0.472 0.822 0.469 Si
0.398 0.042 0.250 Si
0.178 0.649 0.031 Si
0.168 0.877 0.472 Si
0.178 0.649 0.469 Si
0.602 0.958 0.750 Si
0.133 0.510 0.750 Si
0.867 0.490 0.250 Si
0.351 0.528 0.469 Si
0.709 0.832 0.472 Si
0.357 0.398 0.750 Si
0.623 0.133 0.250 Si
0.877 0.709 0.528 Si
0.377 0.867 0.750 Si
0.042 0.643 0.750 Si
0.291 0.168 0.972 Si
0.351 0.528 0.031 Si
0.123 0.291 0.028 Si
0.643 0.602 0.250 Si
0.649 0.472 0.531 Si
0.528 0.178 0.969 Si
0.832 0.123 0.528 Si
0.822 0.351 0.969 Si
0.123 0.291 0.472 Si
0.709 0.832 0.028 Si
0.510 0.377 0.250 Si
0.291 0.168 0.528 Si
0.528 0.178 0.531 Si
0.649 0.472 0.969 Si
0.832 0.123 0.972 Si
0.168 0.877 0.028 Si